! SrMg30TiO32 GGA-PBE optimized geometry; values from VASP
! Symmetry   No. 123
! E   -0.44197 Ry per atom
! Calculated volume   10.02 Å³/atom
! Formation enthalpy at 0 K   -2.983 eV per atom
! Mass density   3.6 g/cm³
&SYSTEM
  ibrav = 0, nat = 64, ntyp = 4
/
ATOMIC_SPECIES
Mg 24.30 Mg.upf
O 16.00 O.upf
Ti 47.87 Ti.upf
Sr 87.62 Sr.upf
CELL_PARAMETERS angstrom
-8.0798 2.9018 0.8092
-2.1452 -7.1683 4.2862
2.1153 3.8153 7.4396
ATOMIC_POSITIONS crystal
Mg 0.5000 0.7490 0.2494
Mg 0.5000 0.2510 0.2494
Mg 0.2509 0.2509 0.0000
O 0.2571 0.0000 0.0000
Mg 0.7447 0.2553 0.5000
O 0.7505 0.2495 0.7499
O 0.0000 0.5000 0.2463
Mg 0.5000 0.5000 0.0000
O 0.5000 0.7487 0.0000
Ti 0.0000 0.0000 0.0000
Mg 0.5000 0.0000 0.0000
Mg 0.2509 0.7491 0.0000
Mg 0.7491 0.7491 0.0000
Mg 0.5000 0.0000 0.5000
Mg 0.5000 0.5000 0.5000
Mg 0.0000 0.7426 0.7535
Mg 0.2510 0.5000 0.2494
O 0.7505 0.2495 0.2501
O 0.2495 0.2495 0.2501
O 0.7505 0.7505 0.2501
O 0.5000 0.0000 0.2463
O 0.7487 0.5000 0.0000
O 0.0000 0.0000 0.7673
O 0.0000 0.7429 0.0000
O 0.0000 0.7295 0.5000
O 0.2540 0.5000 0.5000
O 0.0000 0.5000 0.7537
Mg 0.2574 0.0000 0.7535
O 0.5000 0.7460 0.5000
O 0.0000 0.0000 0.2327
Mg 0.7490 0.5000 0.7506
Mg 0.0000 0.2574 0.7535
Mg 0.7426 0.0000 0.2465
O 0.0000 0.2705 0.5000
O 0.5000 0.2513 0.0000
Mg 0.0000 0.5000 0.0000
Mg 0.2574 0.0000 0.2465
O 0.2705 0.0000 0.5000
O 0.0000 0.2571 0.0000
O 0.2495 0.7505 0.7499
O 0.7429 0.0000 0.0000
Mg 0.2510 0.5000 0.7506
Mg 0.0000 0.7426 0.2465
Mg 0.2553 0.2553 0.5000
O 0.2495 0.7505 0.2501
O 0.7295 0.0000 0.5000
O 0.2495 0.2495 0.7499
O 0.5000 0.5000 0.2491
Sr 0.0000 0.0000 0.5000
O 0.7460 0.5000 0.5000
Mg 0.5000 0.2510 0.7506
Mg 0.5000 0.7490 0.7506
Mg 0.7490 0.5000 0.2494
O 0.5000 0.0000 0.7537
O 0.5000 0.2540 0.5000
O 0.5000 0.5000 0.7509
Mg 0.7447 0.7447 0.5000
O 0.7505 0.7505 0.7499
Mg 0.7491 0.2509 0.0000
Mg 0.2553 0.7447 0.5000
Mg 0.0000 0.5000 0.5000
Mg 0.7426 0.0000 0.7535
Mg 0.0000 0.2574 0.2465
O 0.2513 0.5000 0.0000